Entry 1:
This record from the Materials Project database describes a relaxed Cd2BiAsO6 crystal. The functional is PBE-GGA.

abc: 7.5296 7.5296 5.5282
angles: 90.00 90.00 108.13
Last column: nearest neighbours and their distance in Å.
Element x y z (fractional)
1 Cd 0.0931 0.3018 0.0000  4 O 2.26-2.36
2 Cd 0.3018 0.0931 0.5000  4 O 2.26-2.36
3 Cd 0.6982 0.9069 0.0000  4 O 2.26-2.36
4 Cd 0.9069 0.6982 0.5000  4 O 2.26-2.36
5 Bi 0.4065 0.5935 0.4944  4 O 2.23-2.27
6 Bi 0.5935 0.4065 0.9944  4 O 2.23-2.27
7 As 0.1834 0.8166 0.0402  4 O 1.73-1.74
8 As 0.8166 0.1834 0.5402  4 O 1.73-1.74
9 O 0.0567 0.9433 0.1840  1 As 1.74
10 O 0.0864 0.5927 0.1505  1 As 1.73
11 O 0.1803 0.8197 0.7252  1 As 1.74
12 O 0.3433 0.3483 0.7541  2 Bi 2.23-2.27, 2 Cd 2.26-2.32
13 O 0.3483 0.3433 0.2541  2 Bi 2.23-2.27, 2 Cd 2.26-2.32
14 O 0.4073 0.9136 0.1505  1 As 1.73
15 O 0.5927 0.0864 0.6505  1 As 1.73
16 O 0.6517 0.6567 0.7541  2 Bi 2.23-2.27, 2 Cd 2.26-2.32
17 O 0.6567 0.6517 0.2541  2 Bi 2.23-2.27, 2 Cd 2.26-2.32
18 O 0.8197 0.1803 0.2252  1 As 1.74
19 O 0.9136 0.4073 0.6505  1 As 1.73
20 O 0.9433 0.0567 0.6840  1 As 1.74

- Volume: 14.9 A^3/atom
- Piezoelectric modulus e_max: 0.9 C/m²
- Symmetry: Cmc2_1 (36)
- Size of the total moment: 0.0 Bohr magnetons per cell
- Formation energy from the elements: -1.66 eV per atom

***

Entry 2:
This record from the Materials Project database describes a relaxed Sb3S2XeNO4F18 crystal. The functional is PBE-GGA.

abc: 10.5114 10.8364 18.5379
angles: 90.00 108.25 90.00
Last column: nearest neighbours and their distance in Å.
Element x y z (fractional)
1 Sb 0.0335 0.0749 0.3052  6 F 1.88-2.04
2 Sb 0.0335 0.4251 0.8052  6 F 1.88-2.04
3 Sb 0.0865 0.7393 0.5403  6 F 1.88-2.10
4 Sb 0.0865 0.7607 0.0403  6 F 1.88-2.10
5 Sb 0.3605 0.2108 0.8875  5 F 1.88-1.91
6 Sb 0.3605 0.2892 0.3875  5 F 1.88-1.91
7 Sb 0.6395 0.7108 0.6125  5 F 1.88-1.91
8 Sb 0.6395 0.7892 0.1125  5 F 1.88-1.91
9 Sb 0.9135 0.2393 0.9597  6 F 1.88-2.10
10 Sb 0.9135 0.2607 0.4597  6 F 1.88-2.10
11 Sb 0.9665 0.5749 0.1948  6 F 1.88-2.04
12 Sb 0.9665 0.9251 0.6948  6 F 1.88-2.04
13 S 0.3417 0.1353 0.1542  2 O 1.42-1.43, 1 F 1.57
14 S 0.3417 0.3647 0.6542  2 O 1.42-1.43, 1 F 1.57
15 S 0.3934 0.7459 0.3363  2 O 1.42, 1 F 1.58
16 S 0.3934 0.7541 0.8363  2 O 1.42, 1 F 1.58
17 S 0.6066 0.2459 0.1637  2 O 1.42, 1 F 1.58
18 S 0.6066 0.2541 0.6637  2 O 1.42, 1 F 1.58
19 S 0.6583 0.6353 0.3458  2 O 1.42-1.43, 1 F 1.57
20 S 0.6583 0.8647 0.8458  2 O 1.42-1.43, 1 F 1.57
21 Xe 0.3337 0.0700 0.6177  1 N 2.13
22 Xe 0.3337 0.4300 0.1177  1 N 2.13
23 Xe 0.6663 0.5700 0.8823  1 N 2.13
24 Xe 0.6663 0.9300 0.3823  1 N 2.13
25 N 0.4356 0.2413 0.6472  2 S 1.69-1.73
26 N 0.4356 0.2587 0.1472  2 S 1.69-1.73
27 N 0.5644 0.7413 0.8528  2 S 1.69-1.73
28 N 0.5644 0.7587 0.3528  2 S 1.69-1.73
29 O 0.2136 0.1782 0.1525  1 S 1.42
30 O 0.2136 0.3218 0.6525  1 S 1.42
31 O 0.3238 0.7285 0.7591  1 S 1.42
32 O 0.3238 0.7715 0.2591  1 S 1.42
33 O 0.3762 0.6402 0.3779  1 S 1.42
34 O 0.3762 0.8598 0.8779  1 S 1.42
35 O 0.4258 0.0581 0.2121  1 S 1.43
36 O 0.4258 0.4419 0.7121  1 S 1.43
37 O 0.5742 0.5581 0.2879  1 S 1.43
38 O 0.5742 0.9419 0.7879  1 S 1.43
39 O 0.6238 0.1402 0.1221  1 S 1.42
40 O 0.6238 0.3598 0.6221  1 S 1.42
41 O 0.6762 0.2285 0.7409  1 S 1.42
42 O 0.6762 0.2715 0.2409  1 S 1.42
43 O 0.7864 0.6782 0.3475  1 S 1.42
44 O 0.7864 0.8218 0.8475  1 S 1.42
45 F 0.0118 0.7073 0.1285  2 Sb 2.04-2.10
46 F 0.0118 0.7927 0.6285  2 Sb 2.04-2.10
47 F 0.0331 0.1400 0.5176  1 Sb 1.90
48 F 0.0331 0.3600 0.0176  1 Sb 1.90
49 F 0.0510 0.1201 0.9808  1 Sb 1.89
50 F 0.0510 0.3799 0.4808  1 Sb 1.89
51 F 0.0517 0.6826 0.2753  1 Sb 1.88
52 F 0.0517 0.8174 0.7753  1 Sb 1.88
53 F 0.0884 0.5324 0.7407  1 Sb 1.88
54 F 0.0884 0.9676 0.2407  1 Sb 1.88
55 F 0.1228 0.0063 0.6889  1 Sb 1.90
56 F 0.1228 0.4937 0.1889  1 Sb 1.90
57 F 0.1358 0.5035 0.8958  1 Sb 1.89
58 F 0.1358 0.9965 0.3958  1 Sb 1.89
59 F 0.1611 0.6989 0.4633  1 Sb 1.88
60 F 0.1611 0.8011 0.9633  1 Sb 1.88
61 F 0.1987 0.1783 0.3186  2 Sb 2.02-2.15
62 F 0.1987 0.3217 0.8186  2 Sb 2.02-2.15
63 F 0.2037 0.6409 0.6162  1 Sb 1.88
64 F 0.2037 0.8591 0.1162  1 Sb 1.88
65 F 0.2164 0.6251 0.0783  1 Sb 1.98
66 F 0.2164 0.8749 0.5783  1 Sb 1.98
67 F 0.2248 0.0907 0.8747  1 Sb 1.89
68 F 0.2248 0.4093 0.3747  1 Sb 1.89
69 F 0.3162 0.2203 0.4714  1 Sb 1.91
70 F 0.3162 0.2797 0.9714  1 Sb 1.91
71 F 0.3271 0.0701 0.0765  1 S 1.57
72 F 0.3271 0.4299 0.5765  1 S 1.57
73 F 0.3791 0.6366 0.8837  1 S 1.58
74 F 0.3791 0.8634 0.3837  1 S 1.58
75 F 0.3805 0.1652 0.7924  1 Sb 1.90
76 F 0.3805 0.3348 0.2924  1 Sb 1.90
77 F 0.4640 0.1444 0.3871  1 Sb 1.91
78 F 0.4640 0.3556 0.8871  1 Sb 1.91
79 F 0.4926 0.6193 0.5517  1 Sb 1.88
80 F 0.4926 0.8807 0.0517  1 Sb 1.88
81 F 0.5074 0.1193 0.9483  1 Sb 1.88
82 F 0.5074 0.3807 0.4483  1 Sb 1.88
83 F 0.5360 0.6444 0.1129  1 Sb 1.91
84 F 0.5360 0.8556 0.6129  1 Sb 1.91
85 F 0.6195 0.6652 0.7076  1 Sb 1.90
86 F 0.6195 0.8348 0.2076  1 Sb 1.90
87 F 0.6209 0.1366 0.6163  1 S 1.58
88 F 0.6209 0.3634 0.1163  1 S 1.58
89 F 0.6729 0.5701 0.4235  1 S 1.57
90 F 0.6729 0.9299 0.9235  1 S 1.57
91 F 0.6838 0.7203 0.0286  1 Sb 1.91
92 F 0.6838 0.7797 0.5286  1 Sb 1.91
93 F 0.7752 0.5907 0.6253  1 Sb 1.89
94 F 0.7752 0.9093 0.1253  1 Sb 1.89
95 F 0.7836 0.1251 0.4217  1 Sb 1.98
96 F 0.7836 0.3749 0.9217  1 Sb 1.98
97 F 0.7963 0.1409 0.8838  1 Sb 1.88
98 F 0.7963 0.3591 0.3838  1 Sb 1.88
99 F 0.8013 0.6783 0.1814  2 Sb 2.02-2.15
100 F 0.8013 0.8217 0.6814  2 Sb 2.02-2.15
101 F 0.8389 0.1989 0.0367  1 Sb 1.88
102 F 0.8389 0.3011 0.5367  1 Sb 1.88
103 F 0.8642 0.0035 0.6042  1 Sb 1.89
104 F 0.8642 0.4965 0.1042  1 Sb 1.89
105 F 0.8772 0.5063 0.8111  1 Sb 1.90
106 F 0.8772 0.9937 0.3111  1 Sb 1.90
107 F 0.9116 0.0324 0.7593  1 Sb 1.88
108 F 0.9116 0.4676 0.2593  1 Sb 1.88
109 F 0.9483 0.1826 0.2247  1 Sb 1.88
110 F 0.9483 0.3174 0.7247  1 Sb 1.88
111 F 0.9490 0.6201 0.5192  1 Sb 1.89
112 F 0.9490 0.8799 0.0192  1 Sb 1.89
113 F 0.9669 0.6400 0.9824  1 Sb 1.90
114 F 0.9669 0.8600 0.4824  1 Sb 1.90
115 F 0.9882 0.2073 0.3715  2 Sb 2.04-2.10
116 F 0.9882 0.2927 0.8715  2 Sb 2.04-2.10

- Volume: 17.3 A^3/atom
- Symmetry: P2_1/c (14)
- Size of the total moment: 0.0 Bohr magnetons per cell
- Formation energy from the elements: -2.06 eV per atom

***

Entry 3:
This record from the Materials Project database describes a relaxed PrSnPd crystal. The functional is PBE-GGA.

abc: 7.7039 7.7039 4.1708
angles: 90.00 90.00 120.00
Last column: nearest neighbours and their distance in Å.
Element x y z (fractional)
1 Pr 0.0000 0.4114 0.0000  5 Pd 3.12-3.17, 6 Sn 3.33-3.46
2 Pr 0.4114 0.0000 0.0000  5 Pd 3.12-3.17, 6 Sn 3.33-3.46
3 Pr 0.5886 0.5886 0.0000  5 Pd 3.12-3.17, 6 Sn 3.33-3.46
4 Sn 0.0000 0.7492 0.5000  4 Pd 2.84-2.94
5 Sn 0.2508 0.2508 0.5000  4 Pd 2.84-2.94
6 Sn 0.7492 0.0000 0.5000  4 Pd 2.84-2.94
7 Pd 0.0000 0.0000 0.0000  6 Sn 2.84, 3 Pr 3.17
8 Pd 0.3333 0.6667 0.5000  3 Sn 2.94, 6 Pr 3.12
9 Pd 0.6667 0.3333 0.5000  3 Sn 2.94, 6 Pr 3.12

- Volume: 23.8 A^3/atom
- Symmetry: P-62m (189)
- Formation energy from the elements: -0.90 eV per atom

***

Entry 4:
This record from the Materials Project database describes a relaxed Nb2Ru crystal. The functional is PBE-GGA.

abc: 3.2875 4.6593 13.2444
angles: 90.00 90.00 90.00
Last column: nearest neighbours and their distance in Å.
Element x y z (fractional)
1 Nb 0.0000 0.0000 0.1604  2 Ru 2.69, 6 Nb 2.85-2.89
2 Nb 0.0000 0.0000 0.8396  2 Ru 2.69, 6 Nb 2.85-2.89
3 Nb 0.0000 0.5000 0.3396  2 Ru 2.69, 6 Nb 2.85-2.89
4 Nb 0.0000 0.5000 0.6604  2 Ru 2.69, 6 Nb 2.85-2.89
5 Nb 0.5000 0.0000 0.3396  2 Ru 2.69, 6 Nb 2.85-2.89
6 Nb 0.5000 0.0000 0.6604  2 Ru 2.69, 6 Nb 2.85-2.89
7 Nb 0.5000 0.5000 0.1604  2 Ru 2.69, 6 Nb 2.85-2.89
8 Nb 0.5000 0.5000 0.8396  2 Ru 2.69, 6 Nb 2.85-2.89
9 Ru 0.0000 0.0000 0.5000  4 Nb 2.69, 4 Ru 2.85
10 Ru 0.0000 0.5000 0.0000  4 Nb 2.69, 4 Ru 2.85
11 Ru 0.5000 0.0000 0.0000  4 Nb 2.69, 4 Ru 2.85
12 Ru 0.5000 0.5000 0.5000  4 Nb 2.69, 4 Ru 2.85

- Volume: 16.9 A^3/atom
- Symmetry: Fmmm (69)
- Size of the total moment: 0.0 Bohr magnetons per cell
- Formation energy from the elements: -0.06 eV per atom

***

Entry 5:
This record from the Materials Project database describes a relaxed Sr4CaSm2Ta2O12 crystal. The functional is PBE-GGA.

abc: 6.0025 6.0619 9.6986
angles: 79.84 80.97 86.31
Last column: nearest neighbours and their distance in Å.
Element x y z (fractional)
1 Sr 0.0000 0.0000 0.0000  4 O 2.36-2.63
2 Sr 0.0030 0.8652 0.4447  5 O 2.53-2.74
3 Sr 0.4648 0.2184 0.8517  4 O 2.41-2.51
4 Sr 0.5218 0.3583 0.4453  7 O 2.57-2.86
5 Ca 0.6450 0.5384 0.0421  3 O 2.25-2.44
6 Sm 0.0786 0.4269 0.2252  4 O 2.21-2.30
7 Sm 0.4491 0.8015 0.6612  5 O 2.28-2.42
8 Ta 0.5297 0.9326 0.2208  6 O 1.97-2.09
9 Ta 0.9628 0.3197 0.6572  6 O 1.97-2.12
10 O 0.0573 0.2732 0.4505  1 Ta 2.06, 1 Sm 2.21
11 O 0.1791 0.0725 0.7308  1 Ta 2.03
12 O 0.2082 0.5395 0.6204  1 Ta 2.00
13 O 0.2597 0.1056 0.1652  1 Ta 1.97
14 O 0.3640 0.6393 0.2499  1 Ta 2.05, 1 Sm 2.27
15 O 0.4499 0.9427 0.4269  1 Ta 1.99
16 O 0.6175 0.9144 0.0141  1 Ta 2.01, 1 Ca 2.25
17 O 0.7136 0.0925 0.6487  1 Ta 2.12
18 O 0.7303 0.2024 0.2027  1 Ta 2.06
19 O 0.7408 0.5650 0.5901  1 Ta 2.02
20 O 0.8148 0.7183 0.2394  1 Ta 2.09, 1 Sm 2.30
21 O 0.8367 0.3452 0.8542  1 Ta 1.97

- Volume: 16.3 A^3/atom
- Symmetry: P1 (1)
- Size of the total moment: 0.0 Bohr magnetons per cell
- Relative energy among the computed polymorphs: 0.0 kJ/mol of atoms
- Formation energy from the elements: -3.25 eV per atom

***

Entry 6:
This record from the Materials Project database describes a relaxed EuZn11 crystal. The functional is PBE-GGA.

abc: 8.3065 8.3065 8.3065
angles: 100.01 100.01 130.72
Last column: nearest neighbours and their distance in Å.
Element x y z (fractional)
1 Eu 0.3750 0.6250 0.7500  18 Zn 3.31-3.46
2 Eu 0.6250 0.3750 0.2500  18 Zn 3.31-3.46
3 Zn 0.0000 0.0000 0.0000  10 Zn 2.62-2.81
4 Zn 0.0000 0.0000 0.5000  10 Zn 2.62-2.81
5 Zn 0.0000 0.5000 0.0000  10 Zn 2.62-2.81
6 Zn 0.1250 0.8750 0.2500  12 Zn 2.81-2.90
7 Zn 0.1341 0.5562 0.3345  8 Zn 2.60-2.90
8 Zn 0.1341 0.7996 0.5779  8 Zn 2.60-2.90
9 Zn 0.2004 0.2783 0.3345  8 Zn 2.60-2.90
10 Zn 0.2004 0.8659 0.9221  8 Zn 2.60-2.90
11 Zn 0.2783 0.2004 0.8345  8 Zn 2.60-2.90
12 Zn 0.2783 0.4438 0.0779  8 Zn 2.60-2.90
13 Zn 0.4438 0.2783 0.5779  8 Zn 2.60-2.90
14 Zn 0.4438 0.8659 0.1655  8 Zn 2.60-2.90
15 Zn 0.5000 0.0000 0.5000  10 Zn 2.62-2.81
16 Zn 0.5562 0.1341 0.8345  8 Zn 2.60-2.90
17 Zn 0.5562 0.7217 0.4221  8 Zn 2.60-2.90
18 Zn 0.7217 0.5562 0.9221  8 Zn 2.60-2.90
19 Zn 0.7217 0.7996 0.1655  8 Zn 2.60-2.90
20 Zn 0.7996 0.1341 0.0779  8 Zn 2.60-2.90
21 Zn 0.7996 0.7217 0.6655  8 Zn 2.60-2.90
22 Zn 0.8659 0.2004 0.4221  8 Zn 2.60-2.90
23 Zn 0.8659 0.4438 0.6655  8 Zn 2.60-2.90
24 Zn 0.8750 0.1250 0.7500  12 Zn 2.81-2.90

- Volume: 16.5 A^3/atom
- Symmetry: I4_1/amd (141)
- Formation energy from the elements: -0.20 eV per atom